The following is a DFT calculation (PBE) of a geometry-optimized Rb3GaBr6 structure.

Properties
energy relative to the elements: -1.65 eV/atom

a b c (Å): 11.6239 11.6239 11.6239
angles (deg): 90.00 90.00 90.00
With the nearest neighbours (Å) after each atom.
Space group Fm-3m (No. 225)
Unique sites:
Rb (0.0000, 0.0000, 0.0000) (multiplicity 4)  6 Br 3.24
Rb (0.2500, 0.2500, 0.2500) (multiplicity 8)  12 Br 4.12
Ga (0.0000, 0.0000, 0.5000) (multiplicity 4)  6 Br 2.57
Br (0.0000, 0.0000, 0.2790) (multiplicity 24)  1 Ga 2.57

=====

The following is a DFT calculation (PBE) of a geometry-optimized Zr3N structure.

Properties
energy relative to the elements: 0.56 eV/atom

a b c (Å): 4.1235 4.1235 4.1235
angles (deg): 90.00 90.00 90.00
With the nearest neighbours (Å) after each atom.
Space group Pm-3m (No. 221)
Unique sites:
Zr (0.0000, 0.0000, 0.5000) (multiplicity 3)  8 Zr 2.92, 4 N 2.92
N (0.5000, 0.5000, 0.5000) (multiplicity 1)  12 Zr 2.92

=====

The following is a DFT calculation (PBE) of a geometry-optimized TiFeSb structure.

Properties
energy relative to the elements: -0.43 eV/atom

a b c (Å): 5.9653 5.9653 5.9653
angles (deg): 90.00 90.00 90.00
With the nearest neighbours (Å) after each atom.
Space group F-43m (No. 216)
Unique sites:
Ti (0.0000, 0.0000, 0.0000) (multiplicity 4)  4 Fe 2.58
Fe (0.2500, 0.2500, 0.7500) (multiplicity 4)  4 Sb 2.58, 4 Ti 2.58
Sb (0.0000, 0.0000, 0.5000) (multiplicity 4)  4 Fe 2.58

=====

The following is a DFT calculation (PBE) of a geometry-optimized MgAgPdO2 structure.

Properties
energy relative to the elements: -1.03 eV/atom

a b c (Å): 2.8394 2.9819 8.2102
angles (deg): 90.00 90.00 90.00
With the nearest neighbours (Å) after each atom.
Space group Pmm2 (No. 25)
Unique sites:
Mg (0.0000, 0.0000, 0.0000) (multiplicity 1)  4 O 2.11
Ag (0.5000, 0.0000, 0.3207) (multiplicity 1)  2 O 2.36
Pd (0.0000, 0.5000, 0.7110) (multiplicity 1)  2 O 1.98
O (0.5000, 0.5000, 0.5436) (multiplicity 1)  2 Pd 1.98
O (0.5000, 0.5000, 0.9456) (multiplicity 1)  4 Mg 2.11

=====

The following is a DFT calculation (PBE) of a geometry-optimized Ho5B2O6F9 structure.

Properties
energy relative to the elements: -4.04 eV/atom

a b c (Å): 20.4836 6.0966 8.2624
angles (deg): 90.00 100.10 90.00
With the nearest neighbours (Å) after each atom.
Space group C2/c (No. 15)
Unique sites:
Ho (0.0000, 0.1104, 0.2500) (multiplicity 4)  3 F 2.28-2.43, 4 O 2.34-2.36
Ho (0.1099, 0.3893, 0.9055) (multiplicity 8)  4 F 2.23-2.35, 3 O 2.31-2.41
Ho (0.1940, 0.1196, 0.3192) (multiplicity 8)  5 F 2.21-2.41, 2 O 2.33-2.34
B (0.1117, 0.0953, 0.5622) (multiplicity 8)  3 O 1.38-1.40
O (0.0916, 0.2392, 0.4346) (multiplicity 8)  1 B 1.38
O (0.0929, 0.1031, 0.7155) (multiplicity 8)  1 B 1.39
O (0.1589, 0.0613, 0.0384) (multiplicity 8)  1 B 1.40
F (0.0000, 0.4838, 0.2500) (multiplicity 4)  3 Ho 2.28-2.51
F (0.0314, 0.1833, 0.9849) (multiplicity 8)  2 Ho 2.23-2.43, 1 B 2.37
F (0.1319, 0.4243, 0.1851) (multiplicity 8)  3 Ho 2.26-2.41
F (0.2110, 0.4243, 0.4797) (multiplicity 8)  3 Ho 2.27-2.35
F (0.2248, 0.2218, 0.7859) (multiplicity 8)  2 Ho 2.21-2.23

=====

The following is a DFT calculation (PBE) of a geometry-optimized AlCd3 structure.

Properties
energy relative to the elements: 0.12 eV/atom

a b c (Å): 4.3876 4.3876 8.9304
angles (deg): 90.00 90.00 90.00
With the nearest neighbours (Å) after each atom.
Space group I4/mmm (No. 139)
Unique sites:
Al (0.0000, 0.0000, 0.0000) (multiplicity 2)  12 Cd 3.10-3.13
Cd (0.0000, 0.0000, 0.5000) (multiplicity 2)  4 Al 3.10, 8 Cd 3.13
Cd (0.0000, 0.5000, 0.2500) (multiplicity 4)  8 Cd 3.10-3.13, 4 Al 3.13